Material: K3NaTi2Si3O12
Method: DFT, GGA-PBE
State: relaxed

```
K3NaTi2Si3O12
1.0
-9.1455 -0.3392 1.3316
5.6752 -4.5632 5.7006
1.2251 17.6514 12.9101
K O Si Ti Na
18 72 18 12 6
direct
0.6504 0.0000 0.2500
0.3333 0.0163 0.4167
0.9837 0.6667 0.9167
0.0000 0.3496 0.7500
0.0163 0.3333 0.0833
0.6667 0.9837 0.5833
0.6667 0.6829 0.0833
0.3496 0.3496 0.2500
0.0163 0.6829 0.5833
0.6504 0.6504 0.7500
0.3333 0.3171 0.9167
0.6829 0.6667 0.4167
0.3171 0.9837 0.0833
0.3496 0.0000 0.7500
0.0000 0.6504 0.2500
0.9837 0.3171 0.4167
0.3171 0.3333 0.5833
0.6829 0.0163 0.9167
0.1485 0.4989 0.5783
0.8095 0.9797 0.6917
0.1849 0.1678 0.0884
0.8369 0.5239 0.0251
0.4964 0.3536 0.1416
0.0171 0.8322 0.4116
0.3504 0.8515 0.5783
0.1428 0.4964 0.8584
0.6496 0.5011 0.9217
0.6870 0.5239 0.5251
0.0203 0.8298 0.6917
0.5036 0.8572 0.3584
0.9797 0.8095 0.8083
0.1849 0.0171 0.5884
0.1905 0.1702 0.8083
0.5239 0.6870 0.9749
0.4818 0.1656 0.2449
0.8151 0.8322 0.9116
0.8344 0.3162 0.2449
0.1656 0.6838 0.7551
0.5182 0.8344 0.7551
0.3536 0.8572 0.8584
0.1631 0.6870 0.4749
0.4761 0.1631 0.5251
0.5011 0.6496 0.5783
0.1656 0.4818 0.2551
0.3130 0.8369 0.9749
0.8322 0.8151 0.5884
0.8515 0.3504 0.9217
0.6464 0.5036 0.6416
0.6838 0.5182 0.2449
0.8369 0.3130 0.5251
0.3504 0.4989 0.0783
0.5011 0.8515 0.0783
0.8298 0.8095 0.3083
0.6870 0.1631 0.0251
0.9829 0.1678 0.5884
0.0203 0.1905 0.1917
0.5239 0.8369 0.4749
0.8344 0.5182 0.7449
0.8095 0.8298 0.1917
0.5036 0.6464 0.8584
0.1905 0.0203 0.3083
0.4989 0.3504 0.4217
0.8322 0.0171 0.0884
0.4818 0.3162 0.7449
0.9797 0.1702 0.3083
0.8151 0.9829 0.4116
0.3130 0.4761 0.4749
0.8298 0.0203 0.8083
0.0171 0.1849 0.9116
0.8515 0.5011 0.4217
0.6838 0.1656 0.7449
0.1428 0.6464 0.3584
0.4761 0.3130 0.0251
0.3162 0.4818 0.7551
0.4989 0.1485 0.9217
0.6496 0.1485 0.4217
0.1702 0.1905 0.6917
0.8572 0.5036 0.1416
0.1702 0.9797 0.1917
0.1678 0.9829 0.9116
0.9829 0.8151 0.0884
0.6464 0.1428 0.1416
0.4964 0.1428 0.6416
0.1485 0.6496 0.0783
0.5182 0.6838 0.2551
0.1678 0.1849 0.4116
0.3162 0.8344 0.2551
0.8572 0.3536 0.6416
0.1631 0.4761 0.9749
0.3536 0.4964 0.3584
0.3717 0.0384 0.5833
0.9616 0.3333 0.5833
0.3717 0.3333 0.0833
0.0384 0.3717 0.9167
0.6667 0.6283 0.5833
0.3333 0.3717 0.4167
0.0384 0.6667 0.4167
0.3333 0.9616 0.9167
0.6283 0.9616 0.4167
0.2949 0.0000 0.2500
0.7051 0.7051 0.2500
0.0000 0.7051 0.7500
0.0000 0.2949 0.2500
0.6667 0.0384 0.0833
0.7051 0.0000 0.7500
0.2949 0.2949 0.7500
0.6283 0.6667 0.9167
0.9616 0.6283 0.0833
0.3333 0.6667 0.3154
0.3333 0.6667 0.0179
0.0000 0.0000 0.1487
0.6667 0.3333 0.4821
0.6667 0.3333 0.9821
0.3333 0.6667 0.5179
0.0000 0.0000 0.8513
0.6667 0.3333 0.1846
0.0000 0.0000 0.3513
0.6667 0.3333 0.6846
0.0000 0.0000 0.6487
0.3333 0.6667 0.8154
0.3333 0.6667 0.6667
0.6667 0.3333 0.8333
0.3333 0.6667 0.1667
0.0000 0.0000 0.0000
0.0000 0.0000 0.5000
0.6667 0.3333 0.3333
```

Values from the calculation:
ΔE_f, eV per atom: -2.980
VASP energy, eV for the cell shown: -902.56